[1]
{"formula": "Na2Sb4O11", "functional": "GGA-PBE", "state": "optimized geometry", "spacegroup": "R-3c, No. 167", "total_magnetization_mub_per_atom": 0.000, "crystal_system": "trigonal", "polymorph_energy_mev_per_atom": 0, "formation_energy_ev_per_atom": -1.93, "lattice": [[3.161, 1.825, 12.024], [-3.161, 1.825, 12.024], [0.000, -3.650, 12.024]], "species": ["Na", "Na", "Na", "Na", "Sb", "Sb", "Sb", "Sb", "Sb", "Sb", "Sb", "Sb", "O", "O", "O", "O", "O", "O", "O", "O", "O", "O", "O", "O", "O", "O", "O", "O", "O", "O", "O", "O", "O", "O"], "fractional_positions": [[0.168, 0.168, 0.168], [0.332, 0.332, 0.332], [0.668, 0.668, 0.668], [0.832, 0.832, 0.832], [0.000, 0.000, 0.000], [0.110, 0.750, 0.390], [0.250, 0.610, 0.890], [0.390, 0.110, 0.750], [0.500, 0.500, 0.500], [0.610, 0.890, 0.250], [0.750, 0.390, 0.110], [0.890, 0.250, 0.610], [0.007, 0.493, 0.750], [0.050, 0.743, 0.295], [0.094, 0.094, 0.094], [0.205, 0.757, 0.450], [0.243, 0.550, 0.795], [0.250, 0.993, 0.507], [0.257, 0.705, 0.950], [0.295, 0.050, 0.743], [0.406, 0.406, 0.406], [0.450, 0.205, 0.757], [0.493, 0.750, 0.007], [0.507, 0.250, 0.993], [0.550, 0.795, 0.243], [0.594, 0.594, 0.594], [0.705, 0.950, 0.257], [0.743, 0.295, 0.050], [0.750, 0.007, 0.493], [0.757, 0.450, 0.205], [0.795, 0.243, 0.550], [0.906, 0.906, 0.906], [0.950, 0.257, 0.705], [0.993, 0.507, 0.250]]}

[2]
{"formula": "Na2Sb4O11", "functional": "GGA-PBE", "state": "optimized geometry", "spacegroup": "C2/m, No. 12", "total_magnetization_mub_per_atom": 0.000, "crystal_system": "monoclinic", "polymorph_energy_mev_per_atom": 34, "formation_energy_ev_per_atom": -1.90, "lattice": [[9.909, -3.821, 0.000], [9.909, 3.821, 0.000], [-0.703, 0.000, 7.246]], "species": ["Na", "Na", "Na", "Na", "Sb", "Sb", "Sb", "Sb", "Sb", "Sb", "Sb", "Sb", "O", "O", "O", "O", "O", "O", "O", "O", "O", "O", "O", "O", "O", "O", "O", "O", "O", "O", "O", "O", "O", "O"], "fractional_positions": [[0.031, 0.031, 0.281], [0.265, 0.265, 0.924], [0.735, 0.735, 0.076], [0.969, 0.969, 0.719], [0.068, 0.584, 0.564], [0.416, 0.932, 0.436], [0.424, 0.424, 0.383], [0.429, 0.429, 0.903], [0.571, 0.571, 0.097], [0.576, 0.576, 0.617], [0.584, 0.068, 0.564], [0.932, 0.416, 0.436], [0.031, 0.443, 0.667], [0.154, 0.154, 0.353], [0.156, 0.669, 0.435], [0.175, 0.561, 0.814], [0.326, 0.674, 0.000], [0.331, 0.844, 0.565], [0.333, 0.333, 0.485], [0.381, 0.381, 0.131], [0.439, 0.825, 0.186], [0.443, 0.031, 0.667], [0.477, 0.477, 0.656], [0.523, 0.523, 0.344], [0.557, 0.969, 0.333], [0.561, 0.175, 0.814], [0.619, 0.619, 0.869], [0.667, 0.667, 0.515], [0.669, 0.156, 0.435], [0.674, 0.326, 0.000], [0.825, 0.439, 0.186], [0.844, 0.331, 0.565], [0.846, 0.846, 0.647], [0.969, 0.557, 0.333]]}

[3]
{"formula": "Na7SbO6", "functional": "GGA-PBE", "state": "optimized geometry", "spacegroup": "R3, No. 146", "total_magnetization_mub_per_atom": 0.000, "crystal_system": "trigonal", "formation_energy_ev_per_atom": -1.72, "lattice": [[3.253, 1.878, 5.173], [-3.253, 1.878, 5.173], [0.000, -3.756, 5.173]], "species": ["Na", "Na", "Na", "Na", "Na", "Na", "Na", "Sb", "O", "O", "O", "O", "O", "O"], "fractional_positions": [[0.000, 0.000, 0.000], [0.051, 0.459, 0.841], [0.302, 0.827, 0.594], [0.459, 0.841, 0.051], [0.594, 0.302, 0.827], [0.827, 0.594, 0.302], [0.841, 0.051, 0.459], [0.345, 0.345, 0.345], [0.022, 0.234, 0.558], [0.157, 0.682, 0.420], [0.234, 0.558, 0.022], [0.420, 0.157, 0.682], [0.558, 0.022, 0.234], [0.682, 0.420, 0.157]]}

Theoretical density, record by record: 5.7, 4.3, 3.3 Mg/m³